VASP calculation (r2SCAN) on EuBi2S4 after structural relaxation.

Values from the calculation:
- energy (eV/atom) = -27.8020
- total moment (μB/atom) = 1.000
- energy relative to the elements (eV/atom) = -0.993

Cell lengths 11.6519, 4.0749, 14.5890 Å; angles 90.00, 90.00, 90.00 degrees
Last column: nearest neighbours and their distance in Å.
Space group Pnma (No. 62)
Symmetry-distinct sites (fractional):
Eu 0.2360 0.2500 0.1527 [4 per cell]  7 S 2.99-3.07
Bi 0.0658 0.7500 0.3926 [4 per cell]  5 S 2.66-2.96
Bi 0.1061 0.7500 0.8995 [4 per cell]  7 S 2.81-3.11
S 0.0126 0.7500 0.7137 [4 per cell]  3 Bi 2.72-2.92
S 0.0589 0.7500 0.0889 [4 per cell]  3 Bi 2.81-2.82, 2 Eu 3.05
S 0.1688 0.2500 0.5145 [4 per cell]  4 Bi 2.96-3.11, 2 Eu 3.07
S 0.2374 0.2500 0.8008 [4 per cell]  3 Bi 2.66-2.93